1.
A plane-wave DFT calculation with PBE was carried out for MgMn4ZnS8 after structural relaxation.

a = 11.887 Å, b = 6.870 Å, c = 7.402 Å
α = 90.00°, β = 122.30°, γ = 90.00°
Space group Cm (No. 8)
Inequivalent atoms, fractional coordinates:
Mg1 0.000 0.000 0.000 x2
Mn1 0.104 0.263 0.572 x4
Mn2 0.344 0.500 0.528 x2
Mn3 0.367 0.000 0.572 x2
Zn1 0.354 0.000 0.060 x2
S1 0.095 0.500 0.782 x2
S2 0.103 0.000 0.786 x2
S3 0.106 0.500 0.348 x2
S4 0.128 0.000 0.382 x2
S5 0.342 0.239 0.786 x4
S6 0.373 0.232 0.348 x4

Computed properties:
electronic total energy	-5.79	eV per atom
M_tot	23.2	Bohr magnetons per cell
ΔE_f	-0.90	eV/atom

2.
A plane-wave DFT calculation with PBE was carried out for Li2CuH14C4N6O8 after structural relaxation.

a = 3.519 Å, b = 12.966 Å, c = 13.512 Å
α = 90.00°, β = 97.29°, γ = 90.00°
Space group P2_1/c (No. 14)
Inequivalent atoms, fractional coordinates:
Li1 0.214 0.094 0.136 x4
Cu1 0.500 0.000 0.500 x2
H1 0.005 0.742 0.760 x4
H2 0.110 0.649 0.833 x4
H3 0.212 0.712 0.624 x4
H4 0.238 0.085 0.823 x4
H5 0.315 0.012 0.676 x4
H6 0.374 0.163 0.607 x4
H7 0.413 0.086 0.935 x4
C1 0.254 0.633 0.155 x4
C2 0.417 0.729 0.002 x4
N1 0.279 0.720 0.094 x4
N2 0.339 0.542 0.123 x4
N3 0.483 0.644 0.953 x4
O1 0.085 0.170 0.722 x4
O2 0.151 0.650 0.242 x4
O3 0.333 0.038 0.879 x4
O4 0.465 0.678 0.470 x4

Computed properties:
electronic total energy	-5.94	eV per atom
M_tot	2.0	Bohr magnetons per cell
ΔE_f	-0.90	eV/atom